Entry 1:
DFT (GGA-PBE) results for Ba8Nb7O24 after structural relaxation.

Computed properties:
M_tot = 0.0 μB/f.u.
Density = 6037 kg/m³
SG = P3m1, No. 156
Formation energy from the elements = -3.206 eV/atom

Cell lengths 5.9350, 5.9350, 19.2336 Å; angles 90.00, 90.00, 120.00 degrees
With the nearest neighbours (Å) after each atom.
Sites, in units of the cell vectors:
Ba1 0.0000 0.0000 0.0000  9 O 2.72-2.98
Ba2 0.0000 0.0000 0.2221  9 O 2.79-3.02
Ba3 0.0000 0.0000 0.6167  12 O 2.89-2.98
Ba4 0.3333 0.6667 0.3532  9 O 2.68-3.00
Ba5 0.3333 0.6667 0.8718  12 O 2.84-3.01
Ba6 0.6667 0.3333 0.1228  12 O 2.94-3.09
Ba7 0.6667 0.3333 0.4997  12 O 2.88-2.97
Ba8 0.6667 0.3333 0.7335  12 O 2.84-3.07
Nb1 0.0000 0.0000 0.4270  6 O 1.96-2.12
Nb2 0.0000 0.0000 0.8064  6 O 2.07
Nb3 0.3333 0.6667 0.0649  3 O 1.88
Nb4 0.3333 0.6667 0.5502  6 O 2.05-2.11
Nb5 0.3333 0.6667 0.6857  6 O 2.07-2.11
Nb6 0.6667 0.3333 0.3012  3 O 1.88
Nb7 0.6667 0.3333 0.9309  6 O 2.01-2.11
O1 0.0110 0.5055 0.6179  2 Nb 2.11
O2 0.1635 0.3270 0.4945  2 Nb 2.05-2.12
O3 0.1640 0.3281 0.7444  2 Nb 2.07
O4 0.1635 0.8365 0.4945  2 Nb 2.05-2.12
O5 0.1640 0.8360 0.7444  2 Nb 2.07
O6 0.1697 0.3395 0.1088  1 Nb 1.88
O7 0.1697 0.8303 0.1088  1 Nb 1.88
O8 0.3285 0.1642 0.3751  1 Nb 1.96
O9 0.3347 0.1673 0.8663  2 Nb 2.07-2.11
O10 0.4945 0.5055 0.6179  2 Nb 2.11
O11 0.4945 0.9890 0.6179  2 Nb 2.11
O12 0.5033 0.0067 0.9881  1 Nb 2.01
O13 0.5033 0.4967 0.9881  1 Nb 2.01
O14 0.5098 0.0196 0.2508  1 Nb 1.88
O15 0.5098 0.4902 0.2508  1 Nb 1.88
O16 0.6605 0.8303 0.1088  1 Nb 1.88
O17 0.6719 0.8360 0.7444  2 Nb 2.07
O18 0.6730 0.8365 0.4945  2 Nb 2.05-2.12
O19 0.8327 0.1673 0.8663  2 Nb 2.07-2.11
O20 0.8327 0.6653 0.8663  2 Nb 2.07-2.11
O21 0.8358 0.1642 0.3751  1 Nb 1.96
O22 0.8358 0.6715 0.3751  1 Nb 1.96
O23 0.9804 0.4902 0.2508  1 Nb 1.88
O24 0.9933 0.4967 0.9881  1 Nb 2.01

=====

Entry 2:
DFT (GGA-PBE) results for Li2IrO3 after structural relaxation.

Computed properties:
Density = 7440 kg/m³
SG = C2, No. 5
Formation energy from the elements = -1.733 eV/atom

Cell lengths 5.1865, 5.1865, 24.5232 Å; angles 92.02, 92.02, 120.47 degrees
With the nearest neighbours (Å) after each atom.
Sites, in units of the cell vectors:
Li1 0.0001 0.9999 0.0000  6 O 2.10-2.18
Li2 0.0608 0.7390 0.2000  6 O 2.15-2.17
Li3 0.1003 0.1002 0.3002  6 O 2.12-2.13
Li4 0.1240 0.4537 0.4003  6 O 2.12-2.22
Li5 0.1872 0.1928 0.6001  6 O 2.12-2.21
Li6 0.2610 0.9392 0.8000  6 O 2.15-2.17
Li7 0.3001 0.3000 0.9000  6 O 2.12-2.13
Li8 0.3391 0.6609 0.0000  6 O 2.15-2.17
Li9 0.3999 0.3999 0.2000  6 O 2.10-2.19
Li10 0.4671 0.1305 0.4005  6 O 2.11-2.22
Li11 0.5463 0.8760 0.5997  6 O 2.12-2.22
Li12 0.6001 0.6001 0.8000  6 O 2.10-2.19
Li13 0.6610 0.3390 0.0000  6 O 2.15-2.17
Li14 0.7000 0.6999 0.1000  6 O 2.12-2.13
Li15 0.7393 0.0608 0.2000  6 O 2.15-2.17
Li16 0.8072 0.8128 0.3999  6 O 2.12-2.21
Li17 0.8336 0.1664 0.5000  6 O 2.12-2.13
Li18 0.8695 0.5329 0.5995  6 O 2.11-2.22
Li19 0.8998 0.8997 0.6998  6 O 2.12-2.13
Li20 0.9392 0.2607 0.8000  6 O 2.15-2.17
Ir1 0.0328 0.3672 0.1000  6 O 2.05
Ir2 0.1658 0.8342 0.5000  6 O 2.04-2.06
Ir3 0.2324 0.5676 0.7000  6 O 2.04-2.06
Ir4 0.3673 0.0327 0.1000  6 O 2.05
Ir5 0.4324 0.7676 0.3000  6 O 2.04-2.06
Ir6 0.5011 0.4989 0.5000  6 O 2.05
Ir7 0.5682 0.2334 0.7000  6 O 2.05-2.06
Ir8 0.6328 0.9672 0.9000  6 O 2.05
Ir9 0.7666 0.4318 0.3000  6 O 2.05-2.06
Ir10 0.9673 0.6327 0.9000  6 O 2.05
O1 0.0281 0.6835 0.0528  2 Ir 2.05, 4 Li 2.13-2.18
O2 0.0618 0.0618 0.1470  2 Ir 2.05, 4 Li 2.10-2.15
O3 0.0844 0.4284 0.2529  2 Ir 2.04-2.05, 4 Li 2.13-2.18
O4 0.1152 0.7709 0.3472  2 Ir 2.05, 4 Li 2.13-2.18
O5 0.1612 0.1516 0.4523  2 Ir 2.05-2.06, 4 Li 2.11-2.13
O6 0.1961 0.5293 0.5464  2 Ir 2.05, 4 Li 2.12-2.21
O7 0.2291 0.8848 0.6528  2 Ir 2.05, 4 Li 2.13-2.18
O8 0.2622 0.2616 0.7468  2 Ir 2.05-2.06, 4 Li 2.10-2.16
O9 0.2836 0.6279 0.8528  2 Ir 2.05, 4 Li 2.13-2.19
O10 0.3165 0.9719 0.9472  2 Ir 2.05, 4 Li 2.13-2.18
O11 0.3382 0.3380 0.0530  2 Ir 2.05, 4 Li 2.10-2.15
O12 0.3721 0.7164 0.1472  2 Ir 2.05, 4 Li 2.13-2.19
O13 0.4280 0.0839 0.2527  2 Ir 2.05, 4 Li 2.13-2.18
O14 0.4626 0.4636 0.3464  2 Ir 2.04-2.05, 4 Li 2.12-2.22
O15 0.4707 0.8039 0.4536  2 Ir 2.05, 4 Li 2.12-2.21
O16 0.5047 0.1819 0.5473  2 Ir 2.04-2.05, 4 Li 2.13-2.17
O17 0.5364 0.5374 0.6536  2 Ir 2.04-2.05, 4 Li 2.12-2.22
O18 0.5716 0.9156 0.7471  2 Ir 2.04-2.05, 4 Li 2.13-2.18
O19 0.6281 0.2834 0.8528  2 Ir 2.05, 4 Li 2.13-2.19
O20 0.6620 0.6618 0.9470  2 Ir 2.05, 4 Li 2.10-2.15
O21 0.6836 0.0280 0.0528  2 Ir 2.05, 4 Li 2.13-2.18
O22 0.7166 0.3719 0.1472  2 Ir 2.05, 4 Li 2.13-2.19
O23 0.7384 0.7378 0.2532  2 Ir 2.05-2.06, 4 Li 2.10-2.16
O24 0.7720 0.1158 0.3478  2 Ir 2.05-2.06, 4 Li 2.11-2.13
O25 0.8181 0.4953 0.4527  2 Ir 2.04-2.05, 4 Li 2.13-2.17
O26 0.8484 0.8388 0.5477  2 Ir 2.05-2.06, 4 Li 2.11-2.13
O27 0.8842 0.2280 0.6522  2 Ir 2.05-2.06, 4 Li 2.11-2.13
O28 0.9161 0.5720 0.7473  2 Ir 2.05, 4 Li 2.13-2.18
O29 0.9382 0.9382 0.8530  2 Ir 2.05, 4 Li 2.10-2.15
O30 0.9720 0.3164 0.9472  2 Ir 2.05, 4 Li 2.13-2.18